Computed, not measured: BaYMn2O6 after structural relaxation at the PBE with a Hubbard U level of DFT.

Computed properties:
The energy above the most stable polymorph in this dataset is 0 meV per atom. The formation energy from the elements is -2.684 eV per atom.

Lattice parameters (Å, degrees): 5.567 5.567 7.856 90.37 90.37 88.97
Element x y z (fractional)
Ba (0.247, 0.247, 0.494)
Ba (0.753, 0.753, 0.506)
Y (0.231, 0.231, 0.993)
Y (0.769, 0.769, 0.007)
Mn (0.251, 0.747, 0.758)
Mn (0.253, 0.749, 0.242)
Mn (0.747, 0.251, 0.758)
Mn (0.749, 0.253, 0.242)
O (0.032, 0.032, 0.743)
O (0.033, 0.471, 0.214)
O (0.194, 0.806, 0.000)
O (0.269, 0.731, 0.500)
O (0.466, 0.466, 0.806)
O (0.471, 0.033, 0.214)
O (0.529, 0.967, 0.786)
O (0.534, 0.534, 0.194)
O (0.731, 0.269, 0.500)
O (0.806, 0.194, 0.000)
O (0.967, 0.529, 0.786)
O (0.968, 0.968, 0.257)